(1)
Material: MgMn4O7F
Method: DFT, PBE with a Hubbard U
State: optimized geometry

## Properties
Energy relative to the lowest polymorph listed for this composition: 21 meV per atom
Calculated formation energy: -2.14 eV per atom
Total magnetic moment: 15.00 μB/f.u.
Calculated volume: 146.83 Å³ per cell

a = 5.0332 Å, b = 5.0831 Å, c = 5.9373 Å
α = 83.84°, β = 81.09°, γ = 78.99°
Last column: nearest neighbours and their distance in Å.
Atoms (fractional coordinates):
Mg (0.0000, 0.0000, 0.0000)  5 O 1.99-2.15, 1 F 2.20
Mn (0.4485, 0.4457, 0.7549)  4 O 1.89-2.09
Mn (0.4595, 0.9675, 0.2856)  3 O 1.90-2.01, 1 F 2.09
Mn (0.9373, 0.9350, 0.5458)  6 O 1.89-2.02
Mn (0.9776, 0.4559, 0.2821)  5 O 1.94-2.08, 1 F 2.02
O (0.1706, 0.7547, 0.7574)  2 Mn 1.89-1.90, 1 Mg 1.99
O (0.1742, 0.7690, 0.2830)  3 Mn 1.91-2.03
O (0.1798, 0.2034, 0.4913)  3 Mn 1.94-2.01
O (0.2377, 0.2751, 0.0347)  2 Mn 1.99-2.03, 1 Mg 2.05
O (0.7082, 0.6548, 0.5241)  3 Mn 2.02-2.09
O (0.7220, 0.1325, 0.7815)  2 Mn 1.89-1.91, 1 Mg 2.03
O (0.7498, 0.1516, 0.3022)  3 Mn 1.90-2.08
F (0.7307, 0.6985, 0.0789)  2 Mn 2.02-2.09, 1 Mg 2.20

***

(2)
Material: Li5Mn3O8
Method: DFT, PBE with a Hubbard U
State: optimized geometry

## Properties
Energy relative to the lowest polymorph listed for this composition: 249 meV per atom
Calculated formation energy: -1.90 eV per atom
Total magnetic moment: 12.82 μB/f.u.
Calculated volume: 150.07 Å³ per cell

a = 19.6084 Å, b = 19.6084 Å, c = 19.6084 Å
α = 8.71°, β = 8.71°, γ = 8.71°
Last column: nearest neighbours and their distance in Å.
Atoms (fractional coordinates):
Li (0.0000, 0.0000, 0.0000)  6 O 2.12
Li (0.1252, 0.1252, 0.1252)  6 O 2.15-2.18
Li (0.3696, 0.3696, 0.3696)  3 O 1.94
Li (0.6304, 0.6304, 0.6304)  3 O 1.94
Li (0.8748, 0.8748, 0.8748)  6 O 2.15-2.18
Mn (0.2500, 0.2500, 0.2500)  6 O 1.99-2.05
Mn (0.5000, 0.5000, 0.5000)  6 O 2.06
Mn (0.7500, 0.7500, 0.7500)  6 O 1.99-2.05
O (0.0664, 0.0664, 0.0664)  3 Mn 1.99
O (0.1859, 0.1859, 0.1859)  3 Mn 2.06, 3 Li 2.15
O (0.3122, 0.3122, 0.3122)  6 Li 1.94-2.12
O (0.4358, 0.4358, 0.4358)  3 Mn 2.05, 3 Li 2.18
O (0.5642, 0.5642, 0.5642)  3 Mn 2.05, 3 Li 2.18
O (0.6878, 0.6878, 0.6878)  6 Li 1.94-2.12
O (0.8141, 0.8141, 0.8141)  3 Mn 2.06, 3 Li 2.15
O (0.9336, 0.9336, 0.9336)  3 Mn 1.99

***

(3)
Material: MnFeO4
Method: DFT, PBE with a Hubbard U
State: optimized geometry

## Properties
Calculated formation energy: -1.51 eV per atom
Total magnetic moment: 7.00 μB/f.u.
Calculated volume: 122.43 Å³ per cell

a = 4.4051 Å, b = 5.5796 Å, c = 4.9816 Å
α = 90.00°, β = 90.79°, γ = 90.00°
Last column: nearest neighbours and their distance in Å.
Atoms (fractional coordinates):
Mn (0.0000, 0.1456, 0.2500)  6 O 1.87-1.94
Mn (0.0000, 0.8544, 0.7500)  6 O 1.87-1.94
Fe (0.5000, 0.3446, 0.7500)  6 O 2.00-2.06
Fe (0.5000, 0.6554, 0.2500)  6 O 2.00-2.06
O (0.2280, 0.1080, 0.9284)  2 Mn 1.91-1.94, 1 Fe 2.00
O (0.2280, 0.8920, 0.4284)  2 Mn 1.91-1.94, 1 Fe 2.00
O (0.2535, 0.3769, 0.4070)  1 Mn 1.87, 2 Fe 2.02-2.06
O (0.2535, 0.6231, 0.9070)  1 Mn 1.87, 2 Fe 2.02-2.06
O (0.7465, 0.3769, 0.0930)  1 Mn 1.87, 2 Fe 2.02-2.06
O (0.7465, 0.6231, 0.5930)  1 Mn 1.87, 2 Fe 2.02-2.06
O (0.7720, 0.1080, 0.5716)  2 Mn 1.91-1.94, 1 Fe 2.00
O (0.7720, 0.8920, 0.0716)  2 Mn 1.91-1.94, 1 Fe 2.00

***

(4)
Material: K2LiVPO6
Method: DFT, PBE with a Hubbard U
State: optimized geometry

## Properties
Calculated formation energy: -2.52 eV per atom
Total magnetic moment: 1.00 μB/f.u.
Calculated volume: 678.44 Å³ per cell

a = 6.1000 Å, b = 13.5908 Å, c = 8.9327 Å
α = 90.00°, β = 113.63°, γ = 90.00°
Last column: nearest neighbours and their distance in Å.
Atoms (fractional coordinates):
K (0.1165, 0.1399, 0.4714)  6 O 2.72-2.98
K (0.1165, 0.3601, 0.9714)  6 O 2.72-2.98
K (0.1959, 0.1032, 0.1112)  5 O 2.61-2.84
K (0.1959, 0.3968, 0.6112)  5 O 2.61-2.84
K (0.8041, 0.6032, 0.3888)  5 O 2.61-2.84
K (0.8041, 0.8968, 0.8888)  5 O 2.61-2.84
K (0.8835, 0.6399, 0.0286)  6 O 2.72-2.98
K (0.8835, 0.8601, 0.5286)  6 O 2.72-2.98
Li (0.3356, 0.0208, 0.8202)  3 O 1.96-2.05
Li (0.3356, 0.4792, 0.3202)  3 O 1.96-2.05
Li (0.6644, 0.5208, 0.6798)  3 O 1.96-2.05
Li (0.6644, 0.9792, 0.1798)  3 O 1.96-2.05
V (0.4142, 0.7059, 0.5644)  2 O 1.71-1.75
V (0.4142, 0.7941, 0.0644)  2 O 1.71-1.75
V (0.5858, 0.2059, 0.9356)  2 O 1.71-1.75
V (0.5858, 0.2941, 0.4356)  2 O 1.71-1.75
P (0.2312, 0.6098, 0.7954)  4 O 1.54-1.60
P (0.2312, 0.8902, 0.2954)  4 O 1.54-1.60
P (0.7688, 0.1098, 0.7046)  4 O 1.54-1.60
P (0.7688, 0.3902, 0.2046)  4 O 1.54-1.60
O (0.0197, 0.5383, 0.7613)  1 P 1.54
O (0.0197, 0.9617, 0.2613)  1 P 1.54
O (0.1652, 0.6878, 0.6500)  1 P 1.60
O (0.1652, 0.8122, 0.1500)  1 P 1.60
O (0.2679, 0.6702, 0.9536)  1 P 1.57
O (0.2679, 0.8298, 0.4536)  1 P 1.57
O (0.3093, 0.2398, 0.7957)  1 V 1.71
O (0.3093, 0.2602, 0.2957)  1 V 1.71
O (0.4051, 0.6023, 0.4457)  1 V 1.75
O (0.4051, 0.8977, 0.9457)  1 V 1.75
O (0.4599, 0.5561, 0.8069)  1 P 1.54
O (0.4599, 0.9439, 0.3070)  1 P 1.54
O (0.5401, 0.0561, 0.6931)  1 P 1.54
O (0.5401, 0.4439, 0.1930)  1 P 1.54
O (0.5949, 0.1023, 0.0543)  1 V 1.75
O (0.5949, 0.3977, 0.5543)  1 V 1.75
O (0.6907, 0.7398, 0.7043)  1 V 1.71
O (0.6907, 0.7602, 0.2043)  1 V 1.71
O (0.7321, 0.1702, 0.5464)  1 P 1.57
O (0.7321, 0.3298, 0.0464)  1 P 1.57
O (0.8348, 0.1878, 0.8500)  1 P 1.60
O (0.8348, 0.3122, 0.3500)  1 P 1.60
O (0.9803, 0.0383, 0.7387)  1 P 1.54
O (0.9803, 0.4617, 0.2387)  1 P 1.54

***

(5)
Material: MgCo3BiO8
Method: DFT, PBE with a Hubbard U
State: optimized geometry

## Properties
Energy relative to the lowest polymorph listed for this composition: 25 meV per atom
Calculated formation energy: -1.47 eV per atom
Total magnetic moment: 3.36 μB/f.u.
Calculated volume: 166.33 Å³ per cell

a = 5.7731 Å, b = 5.8712 Å, c = 6.5036 Å
α = 64.03°, β = 64.11°, γ = 61.15°
Last column: nearest neighbours and their distance in Å.
Atoms (fractional coordinates):
Mg (0.0000, 0.0000, 0.0000)  6 O 2.05-2.09
Co (0.0000, 0.5000, 0.0000)  6 O 1.90-1.91
Co (0.5000, 0.0000, 0.0000)  4 O 1.91-1.94
Co (0.5000, 0.5000, 0.0000)  6 O 1.86-1.94
Bi (0.5000, 0.5000, 0.5000)  6 O 2.38-2.40
O (0.2313, 0.2423, 0.8234)  2 Co 1.90-1.94, 1 Mg 2.05
O (0.2360, 0.7063, 0.8164)  2 Co 1.91-1.94, 1 Mg 2.09
O (0.2590, 0.3111, 0.1799)  2 Co 1.86-1.90
O (0.2959, 0.7620, 0.1768)  2 Co 1.91-1.92, 1 Mg 2.05
O (0.7041, 0.2380, 0.8232)  2 Co 1.91-1.92, 1 Mg 2.05
O (0.7410, 0.6889, 0.8201)  2 Co 1.86-1.90
O (0.7640, 0.2937, 0.1836)  2 Co 1.91-1.94, 1 Mg 2.09
O (0.7687, 0.7577, 0.1766)  2 Co 1.90-1.94, 1 Mg 2.05

***

(6)
Material: Na3CrSiCO7
Method: DFT, PBE with a Hubbard U
State: optimized geometry

## Properties
Calculated formation energy: -2.42 eV per atom
Total magnetic moment: 0.00 μB/f.u.
Calculated volume: 624.07 Å³ per cell

a = 5.2679 Å, b = 11.1227 Å, c = 11.1224 Å
α = 106.60°, β = 91.75°, γ = 88.25°
Last column: nearest neighbours and their distance in Å.
Atoms (fractional coordinates):
O (0.7863, 0.6838, 0.3697)  1 Si 1.65
O (0.7863, 0.3803, 0.0662)  1 Si 1.65
O (0.0587, 0.0665, 0.1835)  1 C 1.31
O (0.8738, 0.4136, 0.8364)  1 Si 1.63
O (0.1262, 0.5864, 0.1636)  1 Si 1.63
O (0.2137, 0.3162, 0.6303)  1 Si 1.65
O (0.6840, 0.3348, 0.4153)  1 C 1.28
O (0.4769, 0.5455, 0.7045)  1 C 1.31
O (0.3160, 0.1653, 0.0848)  1 C 1.28
O (0.5231, 0.9545, 0.7955)  1 C 1.31
O (0.7863, 0.1838, 0.8697)  1 Si 1.65
O (0.8738, 0.9136, 0.3364)  1 Si 1.64
O (0.1262, 0.0864, 0.6636)  1 Si 1.64
O (0.3160, 0.6652, 0.5847)  1 C 1.28
O (0.5231, 0.4545, 0.2955)  1 C 1.31
O (0.2136, 0.1197, 0.4338)  1 Si 1.65
O (0.5903, 0.6423, 0.1077)  1 Si 1.66
O (0.6840, 0.8347, 0.9152)  1 C 1.28
O (0.7864, 0.8803, 0.5662)  1 Si 1.65
O (0.0587, 0.5665, 0.6835)  1 C 1.31
O (0.4769, 0.0455, 0.2045)  1 C 1.31
O (0.9413, 0.9335, 0.8165)  1 C 1.31
O (0.4097, 0.3577, 0.8923)  1 Si 1.66
O (0.2137, 0.8162, 0.1303)  1 Si 1.65
O (0.2137, 0.6197, 0.9338)  1 Si 1.65
O (0.5904, 0.1423, 0.6077)  1 Si 1.66
O (0.9413, 0.4335, 0.3165)  1 C 1.31
O (0.4096, 0.8577, 0.3923)  1 Si 1.66
Na (0.2611, 0.3815, 0.1016)  5 O 2.28-2.52
Na (0.7739, 0.6697, 0.5803)  4 O 2.33-2.42
Na (0.2611, 0.6484, 0.3685)  5 O 2.28-2.52
Na (0.2261, 0.3303, 0.4197)  4 O 2.33-2.42
Na (0.7739, 0.1697, 0.0803)  4 O 2.33-2.42
Na (0.2611, 0.8815, 0.6016)  5 O 2.28-2.52
Na (0.7389, 0.1185, 0.3984)  5 O 2.28-2.52
Na (0.2611, 0.1484, 0.8685)  5 O 2.28-2.52
Na (0.2261, 0.8303, 0.9197)  4 O 2.33-2.42
Na (0.7389, 0.6185, 0.8984)  5 O 2.28-2.52
Na (0.7389, 0.3516, 0.6315)  5 O 2.28-2.52
Na (0.7389, 0.8516, 0.1315)  5 O 2.28-2.52
C (0.2849, 0.5944, 0.6556)  3 O 1.28-1.31
C (0.7151, 0.9056, 0.8444)  3 O 1.28-1.31
C (0.7151, 0.4056, 0.3444)  3 O 1.28-1.31
C (0.2849, 0.0944, 0.1556)  3 O 1.28-1.31
Cr (0.2139, 0.4547, 0.7953)  6 O 1.96-2.17
Cr (0.2137, 0.9548, 0.2951)  6 O 1.96-2.17
Cr (0.7860, 0.5452, 0.2048)  6 O 1.96-2.17
Cr (0.7864, 0.0452, 0.7049)  6 O 1.96-2.17
Si (0.7184, 0.8360, 0.4140)  4 O 1.64-1.66
Si (0.2816, 0.1640, 0.5860)  4 O 1.64-1.66
Si (0.2815, 0.6640, 0.0860)  4 O 1.63-1.66
Si (0.7185, 0.3360, 0.9140)  4 O 1.63-1.66

***

(7)
Material: LiFe4B4O12
Method: DFT, PBE with a Hubbard U
State: optimized geometry

## Properties
Energy relative to the lowest polymorph listed for this composition: 6 meV per atom
Calculated formation energy: -2.23 eV per atom
Total magnetic moment: 19.00 μB/f.u.
Calculated volume: 483.06 Å³ per cell

a = 5.2265 Å, b = 9.1592 Å, c = 11.3666 Å
α = 113.72°, β = 102.55°, γ = 90.87°
Last column: nearest neighbours and their distance in Å.
Atoms (fractional coordinates):
Li (0.0000, 0.0000, 0.0000)  3 O 1.93-2.07
Li (0.1992, 0.5223, 0.7546)  4 O 2.03-2.16
Fe (0.2240, 0.1981, 0.7765)  5 O 1.95-2.07
Fe (0.2460, 0.5866, 0.5241)  5 O 1.91-2.07
Fe (0.4647, 0.1240, 0.2746)  5 O 1.88-2.09
Fe (0.5212, 0.1829, 0.0271)  4 O 1.95-2.16
Fe (0.7196, 0.7145, 0.7703)  4 O 1.93-2.16
Fe (0.7498, 0.0839, 0.5245)  4 O 1.86-2.06
Fe (0.9545, 0.6209, 0.2746)  4 O 1.86-2.07
Fe (0.9949, 0.6677, 0.0237)  5 O 1.89-2.07
B (0.0206, 0.3338, 0.0252)  3 O 1.34-1.41
B (0.2217, 0.8790, 0.7800)  3 O 1.35-1.42
B (0.2493, 0.9146, 0.5249)  3 O 1.35-1.40
B (0.4528, 0.4601, 0.2800)  3 O 1.36-1.41
B (0.4983, 0.8387, 0.0251)  3 O 1.37-1.41
B (0.7163, 0.3757, 0.7731)  3 O 1.37-1.41
B (0.7503, 0.4145, 0.5263)  3 O 1.37-1.40
B (0.9571, 0.9559, 0.2727)  3 O 1.35-1.41
O (0.0170, 0.7964, 0.2230)  1 B 1.41
O (0.0183, 0.4387, 0.5458)  1 B 1.37
O (0.1076, 0.7630, 0.4784)  1 B 1.40
O (0.1135, 0.0745, 0.2728)  1 B 1.35
O (0.1170, 0.0491, 0.5763)  1 B 1.40
O (0.2179, 0.4884, 0.3238)  1 B 1.41
O (0.2350, 0.3111, 0.9670)  1 B 1.40
O (0.3198, 0.7294, 0.7248)  1 B 1.42
O (0.3339, 0.7075, 0.0018)  1 B 1.37
O (0.3780, 0.0209, 0.8102)  1 B 1.40
O (0.4175, 0.9923, 0.0741)  1 B 1.40
O (0.4547, 0.3628, 0.7711)  1 B 1.37
O (0.5037, 0.9320, 0.5201)  1 B 1.35
O (0.5185, 0.3047, 0.2335)  1 B 1.38
O (0.6084, 0.5807, 0.2804)  1 B 1.36
O (0.6101, 0.5463, 0.5647)  1 B 1.39
O (0.6163, 0.2606, 0.4772)  1 B 1.40
O (0.7292, 0.9868, 0.3205)  1 B 1.40
O (0.7454, 0.8211, 0.9942)  1 B 1.41
O (0.8485, 0.2415, 0.7220)  1 B 1.40
O (0.8647, 0.5265, 0.8236)  1 B 1.41
O (0.8951, 0.2110, 0.0341)  1 B 1.34
O (0.9463, 0.4909, 0.0763)  1 B 1.41
O (0.9848, 0.8869, 0.8093)  1 B 1.35

***

(8)
Material: TiFeO4
Method: DFT, PBE with a Hubbard U
State: optimized geometry

## Properties
Energy relative to the lowest polymorph listed for this composition: 4 meV per atom
Calculated formation energy: -2.35 eV per atom
Total magnetic moment: 4.00 μB/f.u.
Calculated volume: 280.52 Å³ per cell

a = 5.5222 Å, b = 7.6117 Å, c = 7.7295 Å
α = 104.26°, β = 101.71°, γ = 110.12°
Last column: nearest neighbours and their distance in Å.
Atoms (fractional coordinates):
Ti (0.0000, 0.0000, 0.0000)  6 O 1.93-2.01
Ti (0.0016, 0.4923, 0.0020)  6 O 1.93-2.01
Ti (0.5072, 0.7514, 0.5018)  6 O 1.93-2.02
Ti (0.5179, 0.2457, 0.4988)  6 O 1.93-2.00
Fe (0.3678, 0.8076, 0.8806)  6 O 1.87-2.01
Fe (0.3913, 0.3119, 0.8716)  6 O 1.94-2.03
Fe (0.8735, 0.5594, 0.3775)  6 O 1.87-1.98
Fe (0.8991, 0.0623, 0.3704)  6 O 1.92-2.04
O (0.0688, 0.7580, 0.9806)  1 Fe 1.92, 2 Ti 1.98
O (0.0756, 0.2588, 0.9772)  2 Ti 1.93, 1 Fe 2.03
O (0.1827, 0.6128, 0.2818)  2 Ti 1.95-2.01, 1 Fe 1.95
O (0.1914, 0.6938, 0.6046)  2 Fe 1.96-1.98, 1 Ti 2.02
O (0.2023, 0.1133, 0.2708)  1 Fe 1.94, 2 Ti 1.96-1.97
O (0.2038, 0.1971, 0.5998)  2 Fe 1.93-1.96, 1 Ti 2.00
O (0.3090, 0.0378, 0.8936)  2 Fe 1.87-2.03, 1 Ti 2.01
O (0.3157, 0.5582, 0.9003)  2 Fe 1.87-2.03, 1 Ti 2.01
O (0.5753, 0.5096, 0.4772)  1 Fe 1.92, 2 Ti 1.97-1.98
O (0.5857, 0.0093, 0.4752)  2 Ti 1.93, 1 Fe 2.02
O (0.6711, 0.8577, 0.7730)  2 Ti 1.94-1.99, 1 Fe 1.98
O (0.6975, 0.3604, 0.7683)  2 Ti 1.94-1.95, 1 Fe 1.97
O (0.6978, 0.4459, 0.1018)  2 Fe 1.94-1.98, 1 Ti 1.95
O (0.7031, 0.9484, 0.1066)  2 Fe 1.92-2.01, 1 Ti 1.95
O (0.8187, 0.7915, 0.3994)  2 Fe 1.87-2.03, 1 Ti 2.00
O (0.8228, 0.3094, 0.3960)  2 Fe 1.87-2.04, 1 Ti 1.97

***

- Which of these has the highest calculated volume?
  K2LiVPO6

***

- The highest total magnetic moment belongs to which entry?
  LiFe4B4O12